DFT (PBE) results for La2Mn3Cu9As7 after structural relaxation.

M_tot ... 13.386 μB per cell
Calculated formation energy ... -0.333 eV/atom
Space-group type ... No. 174
Energy ... -113.85 eV/f.u.

Structure (POSCAR):
```
La2Mn3Cu9As7
1.0
9.910 0.000 0.000
-4.955 8.583 0.000
0.000 0.000 4.033
La Mn Cu As
2 3 9 7
Direct
0.000 0.000 0.000
0.333 0.667 0.500
0.446 0.212 0.000
0.766 0.554 0.000
0.788 0.234 0.000
0.038 0.283 0.500
0.089 0.709 0.000
0.245 0.962 0.500
0.291 0.380 0.000
0.507 0.456 0.500
0.544 0.051 0.500
0.620 0.911 0.000
0.717 0.755 0.500
0.949 0.493 0.500
0.079 0.449 0.000
0.251 0.215 0.500
0.370 0.921 0.000
0.551 0.630 0.000
0.667 0.333 0.500
0.785 0.035 0.500
0.965 0.749 0.500
```

---

DFT (PBE) results for Li12Cu11As12 after structural relaxation.

Calculated formation energy ... -0.374 eV/atom
Space-group type ... No. 156
Energy ... -137.01 eV/f.u.

Structure (POSCAR):
```
Li12Cu11As12
1.0
4.123 0.000 0.000
-2.062 3.571 0.000
0.000 0.000 35.998
Li Cu As
12 11 12
Direct
0.000 0.000 0.000
0.000 0.000 0.076
0.000 0.000 0.160
0.000 0.000 0.245
0.000 0.000 0.329
0.000 0.000 0.410
0.000 0.000 0.494
0.000 0.000 0.579
0.000 0.000 0.662
0.000 0.000 0.748
0.000 0.000 0.833
0.000 0.000 0.914
0.333 0.667 0.192
0.333 0.667 0.297
0.333 0.667 0.442
0.333 0.667 0.546
0.333 0.667 0.695
0.333 0.667 0.800
0.333 0.667 0.948
0.667 0.333 0.109
0.667 0.333 0.368
0.667 0.333 0.618
0.667 0.333 0.871
0.333 0.667 0.122
0.333 0.667 0.370
0.333 0.667 0.621
0.333 0.667 0.875
0.667 0.333 0.036
0.667 0.333 0.209
0.667 0.333 0.281
0.667 0.333 0.458
0.667 0.333 0.530
0.667 0.333 0.711
0.667 0.333 0.784
0.667 0.333 0.967
```

---

DFT (PBE) results for Li2CuAs after structural relaxation.

Calculated formation energy ... -0.519 eV/atom
Space-group type ... No. 194
Energy ... -14.65 eV/f.u.

Structure (POSCAR):
```
Li2CuAs
1.0
4.194 0.000 0.000
-2.097 3.632 0.000
0.000 0.000 7.932
Li Cu As
4 2 2
Direct
0.333 0.667 0.086
0.333 0.667 0.414
0.667 0.333 0.586
0.667 0.333 0.914
0.000 0.000 0.250
0.000 0.000 0.750
0.333 0.667 0.750
0.667 0.333 0.250
```

---

DFT (PBE) results for MgCuAs after structural relaxation.

Calculated formation energy ... -0.350 eV/atom
Space-group type ... No. 129
Energy ... -11.41 eV/f.u.

Structure (POSCAR):
```
MgCuAs
1.0
4.000 0.000 0.000
0.000 4.000 0.000
0.000 0.000 6.309
Mg Cu As
2 2 2
Direct
0.250 0.250 0.180
0.750 0.750 0.820
0.250 0.750 0.500
0.750 0.250 0.500
0.250 0.250 0.755
0.750 0.750 0.245
```

---

Q: Which of these has the lowest calculated formation energy?
A: Li2CuAs

---

Q: Among the records above, which one has the highest calculated formation energy?
A: La2Mn3Cu9As7

---

Q: Look up the calculated formation energy of the first one.
A: -0.333 eV/atom